No. 1
# CsYMo2O8

CsYMo2O8 after structural relaxation (PBE with a Hubbard U, the Materials Project).

## Properties
* E: -0.534 Ry/atom
* symmetry: Pccm
* total moment: 0.000 μB per cell
* energy with MP2020 corrections: -8.26 eV/atom
* ΔE_f: -2539 meV per atom

Unit cell a=5.120 b=9.649 c=8.230 alpha=90.00 beta=90.00 gamma=90.00
Sites, in units of the cell vectors:
Cs: 0.000 0.000 0.250
Cs: 0.000 0.000 0.750
Y: 0.000 0.500 0.250
Y: 0.000 0.500 0.750
Mo: 0.476 0.308 0.000
Mo: 0.476 0.692 0.500
Mo: 0.524 0.308 0.500
Mo: 0.524 0.692 0.000
O: 0.249 0.435 0.500
O: 0.249 0.565 0.000
O: 0.261 0.315 0.175
O: 0.261 0.315 0.825
O: 0.261 0.685 0.325
O: 0.261 0.685 0.675
O: 0.389 0.141 0.500
O: 0.389 0.859 0.000
O: 0.611 0.141 0.000
O: 0.611 0.859 0.500
O: 0.739 0.315 0.325
O: 0.739 0.315 0.675
O: 0.739 0.685 0.175
O: 0.739 0.685 0.825
O: 0.751 0.435 0.000
O: 0.751 0.565 0.500


No. 2
# CsYMo2O8

CsYMo2O8 after structural relaxation (PBE with a Hubbard U, the Materials Project).

## Properties
* E: -0.534 Ry/atom
* symmetry: P2/c
* total moment: 0.000 μB per cell
* energy with MP2020 corrections: -8.26 eV/atom
* ΔE_f: -2539 meV per atom

Unit cell a=9.790 b=5.112 c=8.351 alpha=90.00 beta=92.04 gamma=90.00
Sites, in units of the cell vectors:
Cs: 0.000 0.037 0.250
Cs: 0.000 0.963 0.750
Y: 0.500 0.000 0.250
Y: 0.500 0.000 0.750
Mo: 0.310 0.475 0.492
Mo: 0.310 0.525 0.992
Mo: 0.690 0.475 0.008
Mo: 0.690 0.525 0.508
O: 0.145 0.389 0.984
O: 0.145 0.611 0.484
O: 0.321 0.260 0.320
O: 0.321 0.260 0.665
O: 0.321 0.740 0.165
O: 0.321 0.740 0.820
O: 0.433 0.249 0.998
O: 0.433 0.751 0.498
O: 0.567 0.249 0.502
O: 0.567 0.751 0.002
O: 0.679 0.260 0.180
O: 0.679 0.260 0.835
O: 0.679 0.740 0.335
O: 0.679 0.740 0.680
O: 0.855 0.389 0.516
O: 0.855 0.611 0.016